Version P
! LiMnBO3 PBE with a Hubbard U optimized geometry; values from VASP
&SYSTEM
  ibrav = 0, nat = 24, ntyp = 4
/
ATOMIC_SPECIES
Mn 54.94 Mn.upf
B 10.81 B.upf
Li 6.94 Li.upf
O 16.00 O.upf
CELL_PARAMETERS angstrom
2.0195 4.1283 -2.6244
-6.0496 -0.0939 0.0522
1.9902 3.9064 7.8580
ATOMIC_POSITIONS angstrom
Mn 0.2656 3.3762 0.8882
B -0.8331 7.2017 4.3853
Li -1.1793 5.7504 1.8601
O -3.7416 2.4468 0.9867
B 0.7981 4.7565 3.5173
Li 1.1441 6.2078 6.0425
Mn -2.2907 4.6755 -0.8437
O -0.3032 1.4766 1.6823
B -2.8380 3.1843 1.7685
O 0.6998 5.0058 2.1601
O -1.7367 6.4642 3.6035
Li -3.1841 1.7330 -0.7567
O -1.3050 0.9886 -0.4566
O -0.0293 3.8179 4.1304
Mn 0.2509 3.2654 6.1295
O -2.7398 2.9349 3.1257
O -0.0147 3.9288 -1.1107
O 1.7016 5.4940 4.2991
O -2.0253 4.0120 6.3966
Li -0.8607 2.1904 3.4257
O -2.0106 4.1229 1.1554
O -0.7349 6.9523 5.7425
Mn -2.3057 4.5645 4.3976
B -1.2068 0.7391 0.9005
! total magnetic moment: 0.00 μB/f.u.

Version Q
! LiMnBO3 PBE with a Hubbard U optimized geometry; values from VASP
&SYSTEM
  ibrav = 0, nat = 36, ntyp = 4
/
ATOMIC_SPECIES
O 16.00 O.upf
Mn 54.94 Mn.upf
Li 6.94 Li.upf
B 10.81 B.upf
CELL_PARAMETERS angstrom
6.1889 0.6465 1.4504
-1.7650 -1.0710 8.0086
4.8893 -6.2062 -4.0229
ATOMIC_POSITIONS angstrom
O 6.3977 -0.7017 1.1605
O 5.4333 -3.4412 -0.5399
Mn 5.0801 -0.1062 6.5172
Mn 2.4758 -4.8397 5.6662
Li 7.7851 -4.6252 4.0258
O 0.6237 -2.0821 5.3033
Mn 5.5703 -4.5164 6.3914
O 4.2125 -3.7904 4.8249
O 6.3540 -5.9957 3.7066
O 1.1648 -1.9910 2.9540
O 8.5060 -5.2794 1.2416
Mn 6.1812 -2.1094 2.7118
O 3.3032 -1.0250 0.4353
O 4.2592 -1.6677 3.6792
B 4.0633 -2.4056 4.8442
Li 5.9091 -6.2455 -1.3201
Mn 1.9856 -0.4294 5.7920
O 8.5277 -3.1179 0.1853
B 0.0000 0.0000 0.0000
O 7.6397 -5.4931 -2.0034
O 7.3069 -3.4671 5.5501
B 8.3443 -3.9018 1.3172
Li 2.0555 -1.8046 -0.9298
B 0.9688 -2.7289 4.1190
Mn 3.0867 -2.4327 1.9866
O 3.2596 -6.3189 2.9814
Li 5.1500 -1.4814 -0.2046
B 3.0944 0.3233 0.7252
O 4.9049 -3.6315 1.7994
Li 4.6907 -4.9484 3.3006
O 4.5453 -5.8163 -2.7287
O 5.4115 -5.6026 0.5164
Li 9.0035 -5.9223 -0.5949
O 7.9993 -3.3082 2.5246
O 3.7181 -1.7588 6.0285
B 5.2499 -4.2251 0.5920
! largest piezoelectric modulus: 1.12 C/m2
! total magnetic moment: 0.00 μB/f.u.

Version R
! LiMnBO3 PBE with a Hubbard U optimized geometry; values from VASP
&SYSTEM
  ibrav = 0, nat = 24, ntyp = 4
/
ATOMIC_SPECIES
Li 6.94 Li.upf
Mn 54.94 Mn.upf
B 10.81 B.upf
O 16.00 O.upf
CELL_PARAMETERS angstrom
3.2580 0.0000 0.0000
0.0000 9.7337 0.0000
-3.0986 0.0000 8.7857
ATOMIC_POSITIONS angstrom
Li -0.7732 2.3418 3.1984
Li -2.3224 2.5251 7.5913
Li 2.4819 7.2086 1.1944
Li 0.9326 7.3920 5.5873
Mn -0.6974 5.2642 6.5225
Mn 0.8518 9.3364 2.1297
Mn -0.6924 0.3973 6.6560
Mn 0.8569 4.4696 2.2631
B -0.7441 6.8766 3.5322
B -2.2934 7.7240 7.9250
B 2.4528 2.0097 0.8607
B 0.9035 2.8572 5.2535
O -0.7678 5.8412 2.5804
O -2.3171 8.7594 6.9732
O -2.3243 6.4119 7.4324
O -0.7750 8.1887 3.0396
O -0.6924 6.6443 4.8826
O 0.8569 7.9563 0.4897
O -0.6975 1.7774 8.2959
O 0.8518 3.0895 3.9031
O 0.9344 1.5451 5.7461
O 2.4837 3.3218 1.3533
O 2.4765 0.9743 1.8125
O 0.9272 3.8925 6.2053
! total magnetic moment: 5.00 μB/f.u.
! SG: P2_1/c (14)

The most stable arrangement is version Q, and the next structure is 0.006 eV/atom less stable.

Version P
! LiCo2P3O12 PBE with a Hubbard U optimized geometry; values from VASP
&SYSTEM
  ibrav = 0, nat = 72, ntyp = 4
/
ATOMIC_SPECIES
Li 6.94 Li.upf
Co 58.93 Co.upf
P 30.97 P.upf
O 16.00 O.upf
CELL_PARAMETERS angstrom
8.5802 0.0000 0.0000
0.0000 8.7501 0.0000
-0.0313 0.0000 12.1281
ATOMIC_POSITIONS angstrom
Li 0.1619 0.0000 5.2193
Li 0.3660 0.4549 0.8146
Li 8.1829 4.8300 11.3135
Li 8.3870 4.3750 6.9088
Co -0.0239 2.0616 10.4712
Co 8.5728 6.4367 1.6569
Co 0.0125 7.1850 7.6907
Co 4.2566 7.1116 4.4671
Co 4.2448 6.4988 10.5585
Co 4.3041 2.1238 1.5696
Co 4.2923 2.7366 7.6610
Co 8.5364 2.8099 4.4374
P 1.2134 3.3342 1.2662
P 1.2318 5.8760 4.8037
P 1.8197 4.6167 9.1103
P 2.4472 0.2713 9.0630
P 3.0250 1.4510 4.8345
P 3.0384 7.7516 1.2764
P 5.5105 3.3766 10.8517
P 5.5239 5.8261 7.2936
P 6.1017 4.6464 3.0651
P 6.7292 0.2416 3.0178
P 7.3171 1.5009 7.3244
P 7.3355 7.7093 10.8619
O 0.5024 6.9012 5.7227
O 0.6209 2.9348 2.6255
O 0.7288 4.7302 0.8271
O 0.7604 2.2707 0.2347
O 0.7470 3.9145 9.9742
O 0.8394 4.4347 5.2231
O 0.8852 6.1544 3.3526
O 1.0624 5.4843 8.0755
O 1.4695 1.4311 4.7756
O 1.5079 7.5804 1.0547
O 1.5857 8.2284 8.0444
O 1.5835 1.2387 9.8976
O 2.6630 3.6073 8.3166
O 2.6855 5.4645 10.0730
O 2.7628 3.2954 1.3730
O 2.7505 6.0786 5.0523
O 3.1352 8.0596 10.0385
O 3.3526 0.4907 1.0064
O 3.4058 7.4403 2.7378
O 3.4305 2.4552 5.9326
O 3.5203 1.0183 8.2638
O 3.5382 0.0391 5.1653
O 3.6323 1.9045 3.5020
O 3.8077 6.8187 0.3296
O 4.7412 2.4436 11.7985
O 4.9166 6.2795 8.6261
O 5.0107 4.4141 6.9628
O 5.0286 5.3934 3.8643
O 5.1185 6.8303 6.1955
O 5.1431 3.0652 9.3903
O 5.1963 4.8658 11.1217
O 5.4137 3.6845 2.0896
O 5.7985 1.7036 7.0758
O 5.7861 7.6704 10.7551
O 5.8634 1.0895 2.0551
O 5.8859 7.9823 3.8115
O 6.9654 5.6138 2.2305
O 6.9632 3.8534 4.0837
O 7.0410 3.2053 11.0734
O 7.0795 5.8062 7.3525
O 7.4865 1.1093 4.0526
O 7.6637 1.7794 8.7755
O 7.7095 0.0596 6.9050
O 7.8019 8.2895 2.1539
O 7.7885 6.6458 11.8934
O 7.8201 0.3551 11.3010
O 7.9280 7.3099 9.5026
O 8.0465 2.5261 6.4054
! total magnetic moment: 10.00 μB/f.u.
! SG: P2_1 (4)

Version Q
! LiCo2P3O12 PBE with a Hubbard U optimized geometry; values from VASP
&SYSTEM
  ibrav = 0, nat = 36, ntyp = 4
/
ATOMIC_SPECIES
Li 6.94 Li.upf
Co 58.93 Co.upf
P 30.97 P.upf
O 16.00 O.upf
CELL_PARAMETERS angstrom
4.1579 2.4006 6.8914
-4.1579 2.4006 6.8914
0.0000 -4.8011 6.8914
ATOMIC_POSITIONS angstrom
Li 0.0000 0.0000 0.0000
Li 0.0000 0.0000 10.3371
Co 0.0000 0.0000 2.9004
Co 0.0000 0.0000 7.4366
Co 0.0000 0.0000 13.2375
Co 0.0000 0.0000 17.7737
P -2.9756 -0.3528 8.6142
P -1.1823 -2.7534 12.0599
P 1.7933 -2.4006 8.6142
P -1.7933 2.4006 12.0599
P 1.1823 2.7534 8.6142
P 2.9756 0.3528 12.0599
O -3.2385 -1.0952 9.9207
O -3.6028 1.0721 8.5661
O -2.7299 -2.5840 12.1081
O -0.6708 -1.4489 6.4750
O -0.6708 -3.3522 10.7535
O -1.4280 -0.1835 8.6624
O 0.8729 -3.6562 8.5661
O -0.9194 1.3053 6.4750
O -2.5677 2.2570 10.7535
O -0.5551 -1.3284 12.0118
O 0.8729 -1.1450 8.6624
O -1.5901 -0.1435 14.1991
O 1.5902 0.1435 6.4750
O -0.8729 1.1450 12.0118
O 0.5551 1.3284 8.6624
O 2.5677 -2.2570 9.9207
O 0.9194 -1.3053 14.1992
O -0.8729 3.6562 12.1081
O 1.4280 0.1835 12.0118
O 0.6708 3.3522 9.9207
O 0.6708 1.4489 14.1992
O 2.7299 2.5840 8.5661
O 3.6028 -1.0721 12.1081
O 3.2385 1.0952 10.7534
! total magnetic moment: 2.00 μB/f.u.
! SG: R-3c (167)

The most stable arrangement is version P, and the next structure is 0.008 eV/atom less stable.

Version P
! NbCo3O8 PBE with a Hubbard U optimized geometry; values from VASP
&SYSTEM
  ibrav = 0, nat = 24, ntyp = 3
/
ATOMIC_SPECIES
Nb 92.91 Nb.upf
Co 58.93 Co.upf
O 16.00 O.upf
CELL_PARAMETERS angstrom
2.8622 -4.9122 0.0000
2.8622 4.9122 0.0000
-0.0649 0.0000 9.2420
ATOMIC_POSITIONS angstrom
Nb 2.8298 3.2786 4.6210
Nb 2.8622 -3.2786 0.0000
Co 1.4066 0.8280 6.6127
Co 1.4391 -0.8280 1.9917
Co 2.8888 1.6480 2.0042
Co 2.8564 -1.6480 6.6252
Co 4.3073 0.8351 6.6178
Co 4.3398 -0.8351 1.9968
O 1.6265 2.5191 3.0755
O 2.9168 4.7327 3.0431
O 2.8893 3.2458 1.0461
O 1.4922 0.7868 0.9479
O 2.8515 1.6081 5.5798
O 1.4597 -0.7868 5.5689
O 4.1782 2.5423 3.0401
O 2.8909 0.0227 2.8897
O 2.8585 -0.0227 7.5107
O 1.5940 -2.5191 7.6965
O 2.8839 -1.6081 0.9589
O 4.2999 0.8008 0.9341
O 4.2674 -0.8008 5.5551
O 2.8568 -3.2458 5.6671
O 4.1457 -2.5423 7.6611
O 2.8844 -4.7327 7.6641
! total magnetic moment: 2.00 μB/f.u.
! SG: Cc (9)

Version Q
! NbCo3O8 PBE with a Hubbard U optimized geometry; values from VASP
&SYSTEM
  ibrav = 0, nat = 24, ntyp = 3
/
ATOMIC_SPECIES
Nb 92.91 Nb.upf
Co 58.93 Co.upf
O 16.00 O.upf
CELL_PARAMETERS angstrom
2.8430 -4.9281 0.0000
2.8430 4.9281 0.0000
-0.0276 0.0000 9.2277
ATOMIC_POSITIONS angstrom
Nb 2.8292 3.2840 4.6139
Nb 2.8430 -3.2840 0.0000
Co 1.3892 0.8320 2.6150
Co 1.3754 -0.8320 7.2289
Co 2.8150 1.6633 7.2290
Co 2.8288 -1.6633 2.6151
Co 4.2698 0.8318 2.6155
Co 4.2560 -0.8318 7.2294
O 2.8141 4.7508 6.1841
O 1.5499 2.5553 6.1828
O 2.8174 3.2846 8.1819
O 1.4231 0.8016 8.2839
O 1.4369 -0.8016 3.6700
O 2.8277 1.6100 3.6657
O 4.0844 2.5507 6.1814
O 2.8287 -0.0004 1.7677
O 2.8149 0.0004 6.3816
O 1.5636 -2.5553 1.5690
O 4.2054 0.8030 8.2827
O 2.8139 -1.6100 8.2795
O 4.2192 -0.8030 3.6688
O 2.8312 -3.2846 3.5680
O 2.8279 -4.7508 1.5702
O 4.0981 -2.5507 1.5675
! total magnetic moment: 2.00 μB/f.u.
! SG: Cc (9)

The most stable arrangement is version P, and the next structure is 0.028 eV/atom less stable.

Version P
! LiY5Mo2O12 PBE with a Hubbard U optimized geometry; values from VASP
&SYSTEM
  ibrav = 0, nat = 20, ntyp = 4
/
ATOMIC_SPECIES
Li 6.94 Li.upf
Y 88.91 Y.upf
Mo 95.94 Mo.upf
O 16.00 O.upf
CELL_PARAMETERS angstrom
6.2522 -2.9744 0.0000
6.2522 2.9744 0.0000
-2.1688 0.0000 7.0692
ATOMIC_POSITIONS angstrom
Li 0.0000 0.0000 0.0000
Y 1.7093 0.0000 2.4336
Y 0.7092 0.0000 6.0684
Y 6.2522 0.0000 0.0000
Y 9.6264 0.0000 1.0008
Y 8.6263 0.0000 4.6356
Mo 5.1678 1.3767 3.5346
Mo 5.1678 -1.3767 3.5346
O -0.6504 0.0000 2.1959
O 3.2435 1.5832 2.8643
O 2.4163 1.5593 6.6057
O 7.9193 1.5593 0.4635
O 7.0922 1.5832 4.2049
O 4.6529 0.0000 4.9370
O 5.6827 0.0000 2.1322
O 3.2435 -1.5832 2.8643
O 2.4163 -1.5593 6.6057
O 7.9193 -1.5593 0.4635
O 7.0922 -1.5832 4.2049
O 10.9861 0.0000 4.8733
! total magnetic moment: 4.00 μB/f.u.
! SG: C2/m (12)

Version Q
! LiY5Mo2O12 PBE with a Hubbard U optimized geometry; values from VASP
&SYSTEM
  ibrav = 0, nat = 20, ntyp = 4
/
ATOMIC_SPECIES
Li 6.94 Li.upf
Y 88.91 Y.upf
Mo 95.94 Mo.upf
O 16.00 O.upf
CELL_PARAMETERS angstrom
5.9267 0.0000 0.0000
-2.9582 6.4100 0.0000
-0.0401 -2.1936 7.0511
ATOMIC_POSITIONS angstrom
Li 0.0000 0.0000 0.0000
Y -0.0422 0.1853 5.6280
Y -0.0295 3.5396 6.6426
Y -0.0189 4.6961 3.3615
Y 2.9713 3.8813 0.9684
Y 2.9331 2.8701 4.6058
Mo 1.4699 1.1587 2.1313
Mo 4.5123 1.1535 2.1450
O -1.5159 1.8217 6.1357
O -1.5412 3.0845 2.7437
O 0.0163 0.6890 3.4699
O 0.0721 1.6767 0.7406
O -1.4586 5.5918 1.3957
O -1.5249 4.5808 5.2062
O 1.4682 1.8368 6.1496
O 1.5585 3.1801 2.7571
O 2.9542 0.6448 3.4752
O 2.9940 1.5602 0.8034
O 1.5426 5.6874 1.3632
O 1.5356 4.6113 5.2677
! total magnetic moment: 4.00 μB/f.u.
! SG: P1 (1)

The most stable arrangement is version P, and the next structure is 0.036 eV/atom less stable.